1.
A relaxed structure of Mg6SiNi. Source: the Materials Project, functional PBE-GGA.

Lattice parameters (Å, degrees): 4.670 6.135 10.464 90.00 90.00 90.00
Element x y z (fractional)
Mg1 0.000 0.241 0.592
Si1 0.500 0.500 0.178
Ni1 0.000 0.500 0.317
Mg2 0.000 0.741 0.092
Mg3 0.500 0.264 0.408
Mg4 0.000 0.759 0.592
Mg5 0.500 0.736 0.408
Mg6 0.000 0.259 0.092
Mg7 0.500 0.000 0.167
Si2 0.500 0.000 0.678
Mg8 0.500 0.236 0.908
Ni2 0.000 0.000 0.817
Mg9 0.000 0.500 0.837
Mg10 0.000 0.000 0.337
Mg11 0.500 0.764 0.908
Mg12 0.500 0.500 0.667

Summary:
E above lowest polymorph ... 0 meV/atom
ΔH_f (0 K) ... 0.04 eV per atom
VASP energy ... -2.561 eV/atom

2.
A relaxed structure of LiErSe2. Source: the Materials Project, functional PBE-GGA.

Lattice parameters (Å, degrees): 7.015 7.015 7.015 132.51 132.51 69.43
Element x y z (fractional)
Li1 0.000 0.000 0.000
Se1 0.496 0.996 0.500
Er1 0.250 0.750 0.500
Se2 0.746 0.746 0.000
Se3 0.254 0.254 0.000
Se4 0.004 0.504 0.500
Er2 0.500 0.500 0.000
Li2 0.750 0.250 0.500

Summary:
Space-group type ... I4_1/amd
ΔH_f (0 K) ... -1.91 eV per atom
Crystal system ... tetragonal
VASP energy ... -5.041 eV/atom
MP2020-corrected energy ... -5.277 eV per atom

3.
A relaxed structure of CsCdBr3. Source: the Materials Project, functional PBE-GGA.

Lattice parameters (Å, degrees): 5.623 5.623 5.623 90.00 90.00 90.00
Element x y z (fractional)
Br1 0.000 0.500 0.500
Br2 0.500 0.000 0.500
Cd1 0.500 0.500 0.500
Cs1 0.000 0.000 0.000
Br3 0.500 0.500 0.000

Summary:
Space-group type ... Pm-3m
E above lowest polymorph ... 33 meV/atom
ΔH_f (0 K) ... -1.56 eV per atom
Crystal system ... cubic
VASP energy ... -2.588 eV/atom
MP2020-corrected energy ... -2.909 eV per atom

4.
A relaxed structure of Tb4Nb4O11. Source: the Materials Project, functional PBE-GGA.

Lattice parameters (Å, degrees): 5.830 10.976 16.287 90.00 90.00 90.00
Element x y z (fractional)
Tb1 0.500 0.814 0.222
Nb1 0.749 0.639 0.911
O1 0.736 0.722 0.324
O2 0.751 0.461 0.328
O3 0.751 0.039 0.828
O4 0.756 0.692 0.141
Tb2 0.500 0.924 0.901
Nb2 0.500 0.407 0.931
Tb3 0.500 0.424 0.599
Nb3 0.000 0.410 0.935
O5 0.756 0.308 0.859
Tb4 0.000 0.387 0.422
Nb4 0.749 0.361 0.089
Nb5 0.000 0.090 0.435
Nb6 0.749 0.139 0.589
Tb5 0.500 0.076 0.099
O6 0.500 0.449 0.162
O7 0.264 0.278 0.676
O8 0.264 0.722 0.324
Tb6 0.500 0.314 0.278
O9 0.500 0.051 0.662
Tb7 0.000 0.597 0.264
O10 0.000 0.453 0.159
O11 0.751 0.961 0.172
O12 0.264 0.778 0.824
O13 0.753 0.500 0.500
Tb8 0.500 0.186 0.778
O14 0.500 0.240 0.521
Nb7 0.500 0.907 0.569
O15 0.736 0.222 0.176
Tb9 0.000 0.613 0.578
O16 0.244 0.692 0.141
O17 0.500 0.740 0.979
O18 0.264 0.222 0.176
O19 0.244 0.308 0.859
Tb10 0.000 0.113 0.922
Nb8 0.500 0.093 0.431
O20 0.247 0.500 0.500
O21 0.244 0.192 0.359
O22 0.000 0.761 0.478
O23 0.000 0.239 0.522
O24 0.000 0.739 0.978
O25 0.247 0.000 0.000
Tb11 0.000 0.887 0.078
Nb9 0.251 0.361 0.089
O26 0.736 0.278 0.676
O27 0.244 0.808 0.641
O28 0.500 0.551 0.838
O29 0.000 0.261 0.022
O30 0.500 0.949 0.338
O31 0.751 0.539 0.672
Nb10 0.251 0.861 0.411
O32 0.756 0.192 0.359
O33 0.000 0.953 0.341
O34 0.500 0.760 0.479
Tb12 0.500 0.686 0.722
Tb13 0.000 0.903 0.764
O35 0.249 0.539 0.672
Tb14 0.000 0.403 0.736
Tb15 0.500 0.576 0.401
O36 0.753 0.000 0.000
O37 0.249 0.461 0.328
Nb11 0.000 0.590 0.065
O38 0.756 0.808 0.641
O39 0.000 0.547 0.841
Nb12 0.251 0.639 0.911
O40 0.500 0.260 0.021
Nb13 0.749 0.861 0.411
O41 0.249 0.961 0.172
Nb14 0.000 0.910 0.565
O42 0.000 0.047 0.659
Tb16 0.000 0.097 0.236
Nb15 0.251 0.139 0.589
O43 0.249 0.039 0.828
O44 0.736 0.778 0.824
Nb16 0.500 0.593 0.069

Summary:
Space-group type ... Pbam
ΔH_f (0 K) ... -3.27 eV per atom
Crystal system ... orthorhombic
VASP energy ... -8.838 eV/atom
MP2020-corrected energy ... -9.235 eV per atom

5.
A relaxed structure of K2Hg3Se4. Source: the Materials Project, functional PBE-GGA.

Lattice parameters (Å, degrees): 6.999 11.234 14.445 90.00 90.00 90.00
Element x y z (fractional)
Se1 0.325 0.134 0.861
Hg1 0.912 0.000 0.250
Hg2 0.088 0.000 0.750
K1 0.270 0.118 0.499
Hg3 0.412 0.838 0.258
K2 0.770 0.382 0.499
Se2 0.825 0.634 0.639
Se3 0.865 0.128 0.630
Hg4 0.412 0.500 0.250
Se4 0.135 0.128 0.130
Se5 0.635 0.372 0.130
Se6 0.175 0.634 0.139
Se7 0.325 0.866 0.639
Se8 0.365 0.628 0.870
Se9 0.175 0.366 0.361
Hg5 0.412 0.162 0.242
Hg6 0.088 0.662 0.758
Se10 0.675 0.134 0.361
K3 0.730 0.882 0.501
Hg7 0.588 0.162 0.742
K4 0.770 0.618 0.001
K5 0.230 0.382 0.999
Se11 0.865 0.872 0.870
Hg8 0.588 0.838 0.758
K6 0.730 0.118 0.999
K7 0.270 0.882 0.001
Hg9 0.912 0.338 0.242
Se12 0.365 0.372 0.630
Se13 0.135 0.872 0.370
Se14 0.635 0.628 0.370
Hg10 0.088 0.338 0.742
Hg11 0.912 0.662 0.258
Hg12 0.588 0.500 0.750
K8 0.230 0.618 0.501
Se15 0.825 0.366 0.861
Se16 0.675 0.866 0.139

Summary:
Space-group type ... Pbcn
ΔH_f (0 K) ... -0.79 eV per atom
Crystal system ... orthorhombic
VASP energy ... -2.480 eV/atom
MP2020-corrected energy ... -2.689 eV per atom

6.
A relaxed structure of Hg2Pt2O7. Source: the Materials Project, functional PBE-GGA.

Lattice parameters (Å, degrees): 7.326 7.326 7.326 60.00 60.00 60.00
Element x y z (fractional)
O1 0.703 0.297 0.703
O2 0.547 0.953 0.547
Pt1 0.625 0.625 0.125
O3 0.297 0.703 0.297
O4 0.703 0.297 0.297
O5 0.703 0.703 0.297
O6 0.547 0.953 0.953
O7 0.250 0.250 0.250
O8 0.297 0.297 0.703
Hg1 0.625 0.125 0.125
Pt2 0.125 0.625 0.625
Hg2 0.125 0.625 0.125
O9 0.000 0.000 0.000
Pt3 0.625 0.625 0.625
O10 0.953 0.953 0.547
O11 0.953 0.547 0.547
O12 0.953 0.547 0.953
Pt4 0.625 0.125 0.625
Hg3 0.125 0.125 0.125
O13 0.297 0.703 0.703
Hg4 0.125 0.125 0.625
O14 0.547 0.547 0.953

Summary:
Space-group type ... Fd-3m
ΔH_f (0 K) ... -0.85 eV per atom
Crystal system ... cubic
VASP energy ... -4.716 eV/atom
MP2020-corrected energy ... -5.153 eV per atom

7.
A relaxed structure of Cs2PuCl4O2. Source: the Materials Project, functional PBE-GGA.

Lattice parameters (Å, degrees): 6.225 7.395 7.395 118.40 91.99 88.01
Element x y z (fractional)
O1 0.808 0.900 0.100
O2 0.192 0.100 0.900
Cl1 0.785 0.358 0.145
Cl2 0.785 0.855 0.642
Cs1 0.276 0.658 0.342
Cl3 0.215 0.642 0.855
Cs2 0.724 0.342 0.658
Cl4 0.215 0.145 0.358
Pu1 0.000 0.000 0.000

Summary:
Space-group type ... C2/m
ΔH_f (0 K) ... -2.22 eV per atom
Crystal system ... monoclinic
VASP energy ... -5.773 eV/atom
MP2020-corrected energy ... -5.926 eV per atom

8.
A relaxed structure of Er10Mn13C18. Source: the Materials Project, functional PBE-GGA.

Lattice parameters (Å, degrees): 8.675 8.675 8.675 109.47 109.47 109.47
Element x y z (fractional)
C1 0.297 0.517 0.297
Mn1 0.000 0.666 0.819
Er1 0.750 0.500 0.250
Er2 0.250 0.750 0.500
Mn2 0.334 0.334 0.153
C2 0.703 0.000 0.220
Mn3 0.666 0.819 0.000
C3 0.517 0.297 0.297
C4 0.483 0.780 0.780
Mn4 0.000 0.000 0.000
Mn5 0.153 0.334 0.334
C5 0.431 0.431 0.000
C6 0.569 0.000 0.569
C7 0.780 0.483 0.780
Er3 0.410 0.000 0.000
C8 0.780 0.780 0.483
Mn6 0.334 0.153 0.334
C9 0.569 0.569 0.000
Mn7 0.181 0.847 0.181
Er4 0.000 0.000 0.410
Mn8 0.819 0.666 0.000
C10 0.220 0.000 0.703
C11 0.000 0.569 0.569
C12 0.297 0.297 0.517
Er5 0.250 0.500 0.750
C13 0.431 0.000 0.431
Mn9 0.181 0.181 0.847
Mn10 0.666 0.000 0.819
C14 0.000 0.703 0.220
Er6 0.750 0.250 0.500
C15 0.000 0.220 0.703
Er7 0.000 0.410 0.000
Mn11 0.000 0.819 0.666
Mn12 0.847 0.181 0.181
Er8 0.500 0.250 0.750
C16 0.220 0.703 0.000
C17 0.000 0.431 0.431
Mn13 0.819 0.000 0.666
C18 0.703 0.220 0.000
Er9 0.500 0.750 0.250
Er10 0.590 0.590 0.590

Summary:
Space-group type ... I-43m
ΔH_f (0 K) ... -0.33 eV per atom
Crystal system ... cubic
VASP energy ... -8.405 eV/atom

9.
A relaxed structure of CoH6Br2. Source: the Materials Project, functional PBE-GGA.

Lattice parameters (Å, degrees): 7.346 4.967 8.889 90.00 96.30 90.00
Element x y z (fractional)
H1 0.946 0.000 0.432
H2 0.054 0.500 0.568
H3 0.138 0.000 0.900
H4 0.953 0.500 0.164
H5 0.047 0.000 0.836
H6 0.668 0.500 0.456
H7 0.332 0.000 0.544
Co1 0.000 0.750 0.000
Br1 0.279 0.500 0.045
H8 0.429 0.000 0.525
Br2 0.162 0.500 0.442
H9 0.862 0.500 0.100
H10 0.571 0.500 0.475
Br3 0.838 0.000 0.558
Br4 0.721 0.000 0.955
Co2 0.000 0.250 0.000
H11 0.062 0.000 0.116
H12 0.938 0.500 0.884

Summary:
Space-group type ... P2_1/m
ΔH_f (0 K) ... -0.08 eV per atom
Crystal system ... monoclinic
VASP energy ... -3.376 eV/atom
MP2020-corrected energy ... -3.494 eV per atom

10.
A relaxed structure of LiSn2P3O12. Source: the Materials Project, functional PBE-GGA.

Lattice parameters (Å, degrees): 9.175 9.179 9.126 55.75 55.73 55.36
Element x y z (fractional)
O1 0.606 0.034 0.794
O2 0.484 0.179 0.541
O3 0.133 0.882 0.263
P1 0.543 0.955 0.250
O4 0.780 0.619 0.020
O5 0.486 0.847 0.786
O6 0.514 0.153 0.214
O7 0.147 0.222 0.537
O8 0.005 0.791 0.617
Sn1 0.860 0.850 0.858
O9 0.394 0.966 0.206
O10 0.225 0.526 0.149
Sn2 0.652 0.657 0.648
O11 0.118 0.738 0.874
P2 0.748 0.459 0.041
Sn3 0.140 0.150 0.142
O12 0.809 0.453 0.527
P3 0.962 0.250 0.542
O13 0.220 0.381 0.980
O14 0.539 0.485 0.186
P4 0.038 0.750 0.458
P5 0.252 0.541 0.959
O15 0.995 0.209 0.383
Sn4 0.348 0.343 0.352
Li1 0.410 0.717 0.244
P6 0.457 0.045 0.750
O16 0.867 0.118 0.737
O17 0.258 0.129 0.883
O18 0.882 0.262 0.126
O19 0.742 0.871 0.117
O20 0.853 0.778 0.463
O21 0.516 0.821 0.459
O22 0.775 0.474 0.851
O23 0.191 0.547 0.473
Li2 0.590 0.283 0.756
O24 0.461 0.515 0.814

Summary:
Space-group type ... P-1
E above lowest polymorph ... 14 meV/atom
ΔH_f (0 K) ... -2.52 eV per atom
Crystal system ... triclinic
VASP energy ... -6.809 eV/atom
MP2020-corrected energy ... -7.267 eV per atom

11.
A relaxed structure of SrAsPd. Source: the Materials Project, functional PBE-GGA.

Lattice parameters (Å, degrees): 4.321 4.321 9.021 90.00 90.00 120.00
Element x y z (fractional)
Pd1 0.333 0.667 0.750
As1 0.667 0.333 0.750
Pd2 0.667 0.333 0.250
As2 0.333 0.667 0.250
Sr1 0.000 0.000 0.500
Sr2 0.000 0.000 0.000

Summary:
Space-group type ... P6_3/mmc
ΔH_f (0 K) ... -0.97 eV per atom
Crystal system ... hexagonal
VASP energy ... -4.809 eV/atom

12.
A relaxed structure of MnBe2Ru. Source: the Materials Project, functional PBE-GGA.

Lattice parameters (Å, degrees): 3.914 3.914 3.914 60.00 60.00 60.00
Element x y z (fractional)
Be1 0.750 0.750 0.750
Mn1 0.500 0.500 0.500
Ru1 0.000 0.000 0.000
Be2 0.250 0.250 0.250

Summary:
Space-group type ... Fm-3m
ΔH_f (0 K) ... -0.23 eV per atom
Crystal system ... cubic
VASP energy ... -6.704 eV/atom

> VASP energy of number 3 (CsCdBr3)?

-2.588 eV/atom

> Which value of VASP energy does entry 12 give?

-6.704 eV/atom

> What is the formula in the second record?

LiErSe2

Repeat the first record exactly.
A relaxed structure of Mg6SiNi. Source: the Materials Project, functional PBE-GGA.

Lattice parameters (Å, degrees): 4.670 6.135 10.464 90.00 90.00 90.00
Element x y z (fractional)
Mg1 0.000 0.241 0.592
Si1 0.500 0.500 0.178
Ni1 0.000 0.500 0.317
Mg2 0.000 0.741 0.092
Mg3 0.500 0.264 0.408
Mg4 0.000 0.759 0.592
Mg5 0.500 0.736 0.408
Mg6 0.000 0.259 0.092
Mg7 0.500 0.000 0.167
Si2 0.500 0.000 0.678
Mg8 0.500 0.236 0.908
Ni2 0.000 0.000 0.817
Mg9 0.000 0.500 0.837
Mg10 0.000 0.000 0.337
Mg11 0.500 0.764 0.908
Mg12 0.500 0.500 0.667

Summary:
E above lowest polymorph ... 0 meV/atom
ΔH_f (0 K) ... 0.04 eV per atom
VASP energy ... -2.561 eV/atom